No. 1
VASP calculation (GGA-PBE) on crystalline Na2TaAlSiP2O12 at its relaxed geometry.

Summary:
calculated volume = 244 Å³/f.u.
calculated formation energy = -56.5 eV per formula unit

abc: 8.7216 8.7216 22.1921
angles: 90.30 90.30 60.21
Fractional positions:
Na 0.0011 0.9989 0.5000
Na 0.3050 0.6575 0.0883
Na 0.3241 0.7018 0.4188
Na 0.3319 0.3339 0.6667
Na 0.3339 0.3319 0.1667
Na 0.3651 0.9909 0.2548
Na 0.6565 0.6771 0.8332
Na 0.6575 0.3050 0.5883
Na 0.6771 0.6565 0.3332
Na 0.7018 0.3241 0.9188
Na 0.9909 0.3651 0.7548
Na 0.9989 0.0011 0.0000
Ta 0.0006 0.9927 0.6505
Ta 0.3311 0.3333 0.3174
Ta 0.3333 0.3311 0.8174
Ta 0.6599 0.6708 0.4836
Ta 0.6708 0.6599 0.9836
Ta 0.9927 0.0006 0.1505
Al 0.0004 0.0014 0.8577
Al 0.0014 0.0004 0.3577
Al 0.3227 0.3332 0.5252
Al 0.3332 0.3227 0.0252
Al 0.6563 0.6618 0.6913
Al 0.6618 0.6563 0.1913
Si 0.0532 0.3182 0.9238
Si 0.2917 0.7096 0.2563
Si 0.3182 0.0532 0.4238
Si 0.3758 0.6562 0.5894
Si 0.6562 0.3758 0.0894
Si 0.7096 0.2917 0.7563
P 0.0445 0.6210 0.4235
P 0.2923 0.9856 0.7572
P 0.3173 0.6283 0.9242
P 0.3821 0.9580 0.0906
P 0.6210 0.0445 0.9235
P 0.6283 0.3173 0.4242
P 0.6559 0.9525 0.5916
P 0.7178 0.9889 0.2577
P 0.9525 0.6559 0.0916
P 0.9580 0.3821 0.5906
P 0.9856 0.2923 0.2572
P 0.9889 0.7178 0.7577
O 0.0162 0.1547 0.9152
O 0.0222 0.8046 0.4137
O 0.0273 0.1688 0.2004
O 0.0277 0.7965 0.7000
O 0.1303 0.3593 0.8614
O 0.1310 0.5026 0.3660
O 0.1387 0.4996 0.0827
O 0.1412 0.3573 0.5814
O 0.1547 0.0162 0.4152
O 0.1576 0.5268 0.7620
O 0.1576 0.8081 0.9126
O 0.1626 0.3007 0.2615
O 0.1654 0.5357 0.4775
O 0.1685 0.7978 0.1952
O 0.1688 0.0273 0.7004
O 0.1720 0.3016 0.9806
O 0.1811 0.8358 0.5943
O 0.1952 0.9686 0.0951
O 0.1971 0.8336 0.3144
O 0.2026 0.9633 0.8120
O 0.2995 0.5402 0.9807
O 0.3007 0.1626 0.7615
O 0.3016 0.1720 0.4806
O 0.3098 0.5128 0.2611
O 0.3573 0.1412 0.0814
O 0.3593 0.1303 0.3614
O 0.3592 0.4813 0.5784
O 0.3638 0.5000 0.8682
O 0.4636 0.6925 0.5280
O 0.4646 0.8337 0.0347
O 0.4762 0.8303 0.7468
O 0.4813 0.3592 0.0784
O 0.4834 0.6950 0.2478
O 0.4893 0.8726 0.1477
O 0.4914 0.6420 0.9281
O 0.4996 0.1387 0.5827
O 0.5000 0.3638 0.3682
O 0.5004 0.8496 0.4279
O 0.5026 0.1310 0.8660
O 0.5066 0.6228 0.6450
O 0.5128 0.3098 0.7611
O 0.5268 0.1576 0.2620
O 0.5357 0.1654 0.9775
O 0.5402 0.2995 0.4807
O 0.6228 0.5066 0.1450
O 0.6325 0.8617 0.9285
O 0.6380 0.8587 0.6459
O 0.6420 0.4914 0.4281
O 0.6904 0.8303 0.2476
O 0.6925 0.4636 0.0280
O 0.6939 0.8359 0.5334
O 0.6950 0.4834 0.7478
O 0.7965 0.0277 0.2000
O 0.7978 0.1685 0.6952
O 0.8046 0.0222 0.9137
O 0.8081 0.1576 0.4126
O 0.8259 0.9737 0.5951
O 0.8303 0.4762 0.2468
O 0.8303 0.6904 0.7476
O 0.8296 0.9699 0.3123
O 0.8336 0.1971 0.8144
O 0.8337 0.4646 0.5347
O 0.8358 0.1811 0.0943
O 0.8359 0.6939 0.0334
O 0.8496 0.5004 0.9279
O 0.8587 0.6380 0.1459
O 0.8617 0.6325 0.4285
O 0.8726 0.4893 0.6477
O 0.9633 0.2026 0.3120
O 0.9686 0.1952 0.5951
O 0.9699 0.8296 0.8123
O 0.9737 0.8259 0.0951

***

No. 2
VASP calculation (GGA-PBE) on crystalline Na2La2Al2SiS5O24 at its relaxed geometry.

Summary:
calculated volume = 534 Å³/f.u.
calculated formation energy = -91.3 eV per formula unit

abc: 8.7123 8.8444 23.8650
angles: 89.68 89.27 60.64
Fractional positions:
Na 0.0000 0.0000 0.0000
Na 0.0042 0.9964 0.5092
Na 0.3056 0.3784 0.8146
Na 0.3300 0.3283 0.3545
Na 0.6848 0.6674 0.6786
Na 0.7064 0.6111 0.1837
La 0.3339 0.3214 0.2010
La 0.3451 0.3458 0.9777
La 0.6782 0.6283 0.0297
La 0.6813 0.6453 0.3366
La 0.9818 0.0326 0.1512
La 0.9990 0.9774 0.8355
Al 0.0015 0.0018 0.3461
Al 0.3239 0.3380 0.6801
Al 0.3379 0.3256 0.5009
Al 0.6678 0.6607 0.5267
Al 0.7108 0.6626 0.8205
Al 0.9831 0.9875 0.6635
Si 0.0084 0.2932 0.2700
Si 0.0113 0.6759 0.7481
Si 0.6394 0.3261 0.0913
S 0.0366 0.6379 0.0882
S 0.0398 0.3358 0.5878
S 0.2872 0.7126 0.2695
S 0.2929 0.0091 0.7372
S 0.3433 0.0265 0.0840
S 0.3463 0.6141 0.5892
S 0.3789 0.9704 0.4403
S 0.4078 0.6588 0.8976
S 0.6249 0.0377 0.5898
S 0.6564 0.3625 0.4404
S 0.6666 0.9526 0.9121
S 0.6852 0.2955 0.7390
S 0.7095 0.0043 0.2756
S 0.9724 0.3659 0.9052
S 0.9836 0.6470 0.4416
O 0.0114 0.2041 0.2105
O 0.0172 0.1828 0.5969
O 0.0475 0.7960 0.0766
O 0.0756 0.7163 0.8076
O 0.0946 0.5276 0.0364
O 0.1228 0.3741 0.6356
O 0.1431 0.3604 0.8955
O 0.1447 0.5455 0.1373
O 0.1569 0.4914 0.4538
O 0.1579 0.3007 0.5376
O 0.1719 0.4935 0.7270
O 0.1823 0.7947 0.2199
O 0.1817 0.9824 0.6944
O 0.1901 0.2985 0.2792
O 0.1919 0.7889 0.5983
O 0.1972 0.8152 0.3235
O 0.1985 0.0562 0.7921
O 0.2042 0.9836 0.4361
O 0.2076 0.9762 0.0725
O 0.2334 0.8170 0.9022
O 0.2930 0.1351 0.1352
O 0.3123 0.5373 0.2785
O 0.3126 0.5304 0.5402
O 0.3149 0.1588 0.7212
O 0.3560 0.1222 0.0341
O 0.3605 0.1451 0.4519
O 0.3851 0.4974 0.6383
O 0.3890 0.5018 0.8908
O 0.4584 0.7086 0.2649
O 0.4631 0.8504 0.7412
O 0.4787 0.9122 0.3872
O 0.4801 0.8452 0.4869
O 0.4969 0.3478 0.4539
O 0.5024 0.6432 0.9496
O 0.5038 0.1264 0.6372
O 0.5035 0.6756 0.8466
O 0.5058 0.1211 0.9030
O 0.5076 0.6336 0.5786
O 0.5151 0.3826 0.0348
O 0.5146 0.8695 0.0936
O 0.5179 0.2993 0.7249
O 0.5505 0.1460 0.5385
O 0.5607 0.1815 0.2812
O 0.5724 0.2705 0.1479
O 0.6171 0.4470 0.3849
O 0.6442 0.8606 0.5824
O 0.6477 0.8766 0.2749
O 0.6528 0.8637 0.9619
O 0.6613 0.4963 0.1059
O 0.6650 0.4689 0.7431
O 0.6792 0.4761 0.4825
O 0.6959 0.8471 0.8591
O 0.7380 0.2013 0.7931
O 0.8056 0.0170 0.5995
O 0.8153 0.1912 0.4392
O 0.8152 0.9815 0.2251
O 0.8221 0.9796 0.9175
O 0.8230 0.1976 0.6943
O 0.8231 0.9663 0.3285
O 0.8297 0.6647 0.7613
O 0.8327 0.1677 0.0725
O 0.8423 0.4921 0.2667
O 0.8493 0.6712 0.4862
O 0.8518 0.6823 0.1009
O 0.8542 0.4620 0.8567
O 0.8626 0.4950 0.5792
O 0.8948 0.4551 0.9585
O 0.9320 0.6073 0.3873
O 0.9609 0.8350 0.7032
O 0.9750 0.1952 0.3246
O 0.9917 0.1908 0.9072
O 0.9979 0.8057 0.4384

***

No. 3
VASP calculation (GGA-PBE) on crystalline SbO2 at its relaxed geometry.

Summary:
calculated volume = 60 Å³/f.u.
calculated formation energy = -5.2 eV per formula unit

abc: 5.9426 12.2946 6.5353
angles: 90.00 90.00 90.00
Fractional positions:
Sb 0.0000 0.0000 0.0000
Sb 0.0000 0.5000 0.0000
Sb 0.2500 0.0753 0.4646
Sb 0.2500 0.4247 0.4646
Sb 0.5000 0.0000 0.0000
Sb 0.5000 0.5000 0.0000
Sb 0.7500 0.5753 0.5354
Sb 0.7500 0.9247 0.5354
O 0.0031 0.5210 0.3162
O 0.0031 0.9790 0.3162
O 0.2500 0.1078 0.0460
O 0.2500 0.3922 0.0460
O 0.2500 0.6056 0.9674
O 0.2500 0.8944 0.9674
O 0.4969 0.5210 0.3162
O 0.4969 0.9790 0.3162
O 0.5031 0.0210 0.6838
O 0.5031 0.4790 0.6838
O 0.7500 0.1056 0.0326
O 0.7500 0.3944 0.0326
O 0.7500 0.6078 0.9540
O 0.7500 0.8922 0.9540
O 0.9969 0.0210 0.6838
O 0.9969 0.4790 0.6838

***

No. 4
VASP calculation (GGA-PBE) on crystalline ZnCu2SnSe3S at its relaxed geometry.

Summary:
calculated volume = 183 Å³/f.u.
ΔE to the lowest computed polymorph = 4 meV per atom
calculated formation energy = -3.7 eV per formula unit

abc: 8.0096 8.0141 6.9724
angles: 90.00 125.03 90.00
Fractional positions:
Zn 0.0000 0.0000 0.0000
Zn 0.5000 0.5000 0.0000
Cu 0.4994 0.2584 0.5141
Cu 0.4994 0.7416 0.5141
Cu 0.9994 0.2416 0.5141
Cu 0.9994 0.7584 0.5141
Sn 0.4858 0.0000 0.0010
Sn 0.9858 0.5000 0.0010
Se 0.1184 0.5000 0.7351
Se 0.1306 0.2403 0.2759
Se 0.1306 0.7597 0.2759
Se 0.6184 0.0000 0.7351
Se 0.6306 0.2597 0.2759
Se 0.6306 0.7403 0.2759
S 0.1044 0.0000 0.7400
S 0.6044 0.5000 0.7400

***

No. 5
VASP calculation (GGA-PBE) on crystalline LiAcHg2 at its relaxed geometry.

Summary:
calculated volume = 110 Å³/f.u.
calculated formation energy = -1.7 eV per formula unit

abc: 7.6108 7.6108 7.6108
angles: 90.00 90.00 90.00
Fractional positions:
Li 0.0000 0.0000 0.0000
Li 0.0000 0.5000 0.5000
Li 0.5000 0.0000 0.5000
Li 0.5000 0.5000 0.0000
Ac 0.0000 0.0000 0.5000
Ac 0.0000 0.5000 0.0000
Ac 0.5000 0.0000 0.0000
Ac 0.5000 0.5000 0.5000
Hg 0.2500 0.2500 0.2500
Hg 0.2500 0.2500 0.7500
Hg 0.2500 0.7500 0.2500
Hg 0.2500 0.7500 0.7500
Hg 0.7500 0.2500 0.2500
Hg 0.7500 0.2500 0.7500
Hg 0.7500 0.7500 0.2500
Hg 0.7500 0.7500 0.7500

***

No. 6
VASP calculation (GGA-PBE) on crystalline K2UF6 at its relaxed geometry.

Summary:
calculated volume = 144 Å³/f.u.
calculated formation energy = -32.4 eV per formula unit
largest piezoelectric modulus = 0.41 C/m2

abc: 6.6643 6.6643 3.7458
angles: 90.00 90.00 120.00
Fractional positions:
K 0.3333 0.6667 0.0000
K 0.6667 0.3333 0.0000
U 0.0000 0.0000 0.5000
F 0.0000 0.3410 0.5000
F 0.0000 0.7743 0.0000
F 0.2257 0.2257 0.0000
F 0.3410 0.0000 0.5000
F 0.6590 0.6590 0.5000
F 0.7743 0.0000 0.0000

***

No. 7
VASP calculation (GGA-PBE) on crystalline Ba2SrTa6Bi6O27 at its relaxed geometry.

Summary:
calculated volume = 592 Å³/f.u.
calculated formation energy = -116.9 eV per formula unit

abc: 14.2691 14.2691 14.2691
angles: 164.34 130.85 51.91
Fractional positions:
Ba 0.1674 0.0000 0.1674
Ba 0.8326 0.0000 0.8326
Sr 0.5000 0.0000 0.5000
Ta 0.0893 0.5893 0.5000
Ta 0.2469 0.4120 0.8349
Ta 0.4229 0.5880 0.8349
Ta 0.5771 0.4120 0.1651
Ta 0.7531 0.5880 0.1651
Ta 0.9107 0.4107 0.5000
Bi 0.0349 0.2015 0.8334
Bi 0.2990 0.7990 0.5000
Bi 0.3682 0.2015 0.1666
Bi 0.6318 0.7985 0.8334
Bi 0.7010 0.2010 0.5000
Bi 0.9651 0.7985 0.1666
O 0.0000 0.5000 0.5000
O 0.0756 0.0756 0.0000
O 0.0832 0.7502 0.3331
O 0.0842 0.4169 0.6673
O 0.1630 0.6630 0.5000
O 0.1732 0.3379 0.8354
O 0.2497 0.2497 0.0000
O 0.2504 0.5831 0.6673
O 0.2653 0.9262 0.3392
O 0.3380 0.5000 0.8380
O 0.4130 0.0738 0.3392
O 0.4171 0.7502 0.6669
O 0.4181 0.4181 0.0000
O 0.4975 0.6621 0.8354
O 0.5025 0.3379 0.1646
O 0.5819 0.5819 0.0000
O 0.5829 0.2498 0.3331
O 0.5870 0.9262 0.6608
O 0.6620 0.5000 0.1620
O 0.7347 0.0738 0.6608
O 0.7496 0.4169 0.3327
O 0.7503 0.7503 0.0000
O 0.8268 0.6621 0.1646
O 0.8370 0.3370 0.5000
O 0.9158 0.5831 0.3327
O 0.9168 0.2498 0.6669
O 0.9244 0.9244 0.0000

***

No. 8
VASP calculation (GGA-PBE) on crystalline Ba3Ir3N5 at its relaxed geometry.

Summary:
calculated volume = 222 Å³/f.u.
calculated formation energy = -3.6 eV per formula unit

abc: 7.1595 8.0263 9.0793
angles: 67.15 67.25 79.96
Fractional positions:
Ba 0.9997 0.2007 0.2492
Ba 0.0003 0.7993 0.7508
Ba 0.2476 0.6492 0.3527
Ba 0.4023 0.9298 0.8624
Ba 0.5977 0.0702 0.1376
Ba 0.7524 0.3508 0.6473
Ir 0.1388 0.3308 0.8256
Ir 0.2892 0.1856 0.4679
Ir 0.3357 0.5108 0.9189
Ir 0.6643 0.4892 0.0811
Ir 0.7108 0.8144 0.5321
Ir 0.8612 0.6692 0.1744
N 0.1297 0.5715 0.0938
N 0.1441 0.1992 0.6867
N 0.2625 0.9867 0.4170
N 0.3729 0.2527 0.9072
N 0.4687 0.3532 0.2905
N 0.5313 0.6468 0.7095
N 0.6271 0.7473 0.0928
N 0.7375 0.0133 0.5830
N 0.8559 0.8008 0.3133
N 0.8703 0.4285 0.9062

***

No. 9
VASP calculation (GGA-PBE) on crystalline TcSbO2F8 at its relaxed geometry.

Summary:
calculated volume = 196 Å³/f.u.
calculated formation energy = -28.8 eV per formula unit

abc: 7.5543 10.7321 11.9817
angles: 90.00 125.99 90.00
Fractional positions:
Tc 0.0315 0.1728 0.1624
Tc 0.0315 0.3272 0.6624
Tc 0.9685 0.6728 0.3376
Tc 0.9685 0.8272 0.8376
Sb 0.4043 0.0220 0.6873
Sb 0.4043 0.4780 0.1873
Sb 0.5957 0.5220 0.8127
Sb 0.5957 0.9780 0.3127
O 0.0258 0.5300 0.3098
O 0.0258 0.9700 0.8098
O 0.2117 0.7452 0.4254
O 0.2117 0.7548 0.9254
O 0.7883 0.2452 0.0746
O 0.7883 0.2548 0.5746
O 0.9742 0.0300 0.1902
O 0.9742 0.4700 0.6902
F 0.0534 0.1380 0.0197
F 0.0534 0.3620 0.5197
F 0.1641 0.2443 0.3339
F 0.1641 0.2557 0.8339
F 0.1905 0.1530 0.6491
F 0.1905 0.3470 0.1491
F 0.2054 0.6021 0.1630
F 0.2054 0.8979 0.6630
F 0.2805 0.0132 0.4966
F 0.2805 0.4868 0.9966
F 0.3871 0.1123 0.2766
F 0.3871 0.3877 0.7766
F 0.3938 0.6442 0.7873
F 0.3938 0.8558 0.2873
F 0.4716 0.5302 0.6215
F 0.4716 0.9698 0.1215
F 0.5284 0.0302 0.8785
F 0.5284 0.4698 0.3785
F 0.6062 0.1442 0.7127
F 0.6062 0.3558 0.2127
F 0.6129 0.6123 0.2234
F 0.6129 0.8877 0.7234
F 0.7195 0.5132 0.0034
F 0.7195 0.9868 0.5034
F 0.7946 0.1021 0.3370
F 0.7946 0.3979 0.8370
F 0.8095 0.6530 0.8509
F 0.8095 0.8470 0.3509
F 0.8359 0.7443 0.1661
F 0.8359 0.7557 0.6661
F 0.9466 0.6380 0.4803
F 0.9466 0.8620 0.9803

***

What is the formula in the sixth record? K2UF6

***

Which of these has the highest calculated formation energy? LiAcHg2

***

Which value of calculated volume does entry 4 give? 183 Å³/f.u.

***

Repeat the seventh record exactly.
VASP calculation (GGA-PBE) on crystalline Ba2SrTa6Bi6O27 at its relaxed geometry.

Summary:
calculated volume = 592 Å³/f.u.
calculated formation energy = -116.9 eV per formula unit

abc: 14.2691 14.2691 14.2691
angles: 164.34 130.85 51.91
Fractional positions:
Ba 0.1674 0.0000 0.1674
Ba 0.8326 0.0000 0.8326
Sr 0.5000 0.0000 0.5000
Ta 0.0893 0.5893 0.5000
Ta 0.2469 0.4120 0.8349
Ta 0.4229 0.5880 0.8349
Ta 0.5771 0.4120 0.1651
Ta 0.7531 0.5880 0.1651
Ta 0.9107 0.4107 0.5000
Bi 0.0349 0.2015 0.8334
Bi 0.2990 0.7990 0.5000
Bi 0.3682 0.2015 0.1666
Bi 0.6318 0.7985 0.8334
Bi 0.7010 0.2010 0.5000
Bi 0.9651 0.7985 0.1666
O 0.0000 0.5000 0.5000
O 0.0756 0.0756 0.0000
O 0.0832 0.7502 0.3331
O 0.0842 0.4169 0.6673
O 0.1630 0.6630 0.5000
O 0.1732 0.3379 0.8354
O 0.2497 0.2497 0.0000
O 0.2504 0.5831 0.6673
O 0.2653 0.9262 0.3392
O 0.3380 0.5000 0.8380
O 0.4130 0.0738 0.3392
O 0.4171 0.7502 0.6669
O 0.4181 0.4181 0.0000
O 0.4975 0.6621 0.8354
O 0.5025 0.3379 0.1646
O 0.5819 0.5819 0.0000
O 0.5829 0.2498 0.3331
O 0.5870 0.9262 0.6608
O 0.6620 0.5000 0.1620
O 0.7347 0.0738 0.6608
O 0.7496 0.4169 0.3327
O 0.7503 0.7503 0.0000
O 0.8268 0.6621 0.1646
O 0.8370 0.3370 0.5000
O 0.9158 0.5831 0.3327
O 0.9168 0.2498 0.6669
O 0.9244 0.9244 0.0000